DFT (PBE-GGA) results for a relaxed LiSm3BiRu4O14 crystal.

Lattice parameters (Å, degrees): 7.364 7.364 7.364 60.42 60.42 60.42
Element x y z (fractional)
Li  0.000  0.000  0.000
Sm  0.376  0.376  0.874
Sm  0.376  0.874  0.376
Sm  0.874  0.376  0.376
Bi  0.376  0.376  0.376
Ru  0.391  0.870  0.870
Ru  0.869  0.869  0.869
Ru  0.870  0.391  0.870
Ru  0.870  0.870  0.391
O  0.206  0.206  0.793
O  0.206  0.793  0.206
O  0.209  0.791  0.791
O  0.248  0.248  0.248
O  0.502  0.502  0.502
O  0.546  0.955  0.955
O  0.548  0.548  0.952
O  0.548  0.952  0.548
O  0.791  0.209  0.791
O  0.791  0.791  0.209
O  0.793  0.206  0.206
O  0.952  0.548  0.548
O  0.955  0.546  0.955
O  0.955  0.955  0.546

Results
Energy above the most stable polymorph in this dataset (meV per atom): 0
Energy relative to the elements (eV/atom): -2.2542
Corrected total energy (MP2020 scheme) (eV/cell): -178.169

DFT (PBE-GGA) results for a relaxed LiSi2BiO6 crystal.

Lattice parameters (Å, degrees): 6.882 6.882 5.292 101.35 101.35 85.94
Element x y z (fractional)
Li  0.089  0.911  0.750
Li  0.911  0.089  0.250
Si  0.193  0.375  0.732
Si  0.375  0.193  0.232
Si  0.625  0.807  0.768
Si  0.807  0.625  0.268
Bi  0.272  0.728  0.250
Bi  0.728  0.272  0.750
O  0.022  0.208  0.646
O  0.117  0.601  0.821
O  0.208  0.022  0.146
O  0.318  0.361  0.487
O  0.361  0.318  0.987
O  0.399  0.883  0.679
O  0.601  0.117  0.321
O  0.639  0.682  0.013
O  0.682  0.639  0.513
O  0.792  0.978  0.854
O  0.883  0.399  0.179
O  0.978  0.792  0.354

Results
Energy above the most stable polymorph in this dataset (meV per atom): 0
Energy relative to the elements (eV/atom): -2.7352
Corrected total energy (MP2020 scheme) (eV/cell): -147.378

no.,total moment (μB/f.u.),E (eV per atom)
1,0.99,-7.33
2,0.00,-6.96